Entry 1:
DFT (PBE-GGA) results for crystalline HfB2 at its relaxed geometry.

Unit cell a=3.1487 b=3.1487 c=3.4799 alpha=90.00 beta=90.00 gamma=120.00
Space group P6/mmm (No. 191)
Inequivalent atoms, fractional coordinates:
Hf 0.0000 0.0000 0.0000 (multiplicity 1)
B 0.3333 0.6667 0.5000 (multiplicity 2)

Entry 2:
DFT (PBE-GGA) results for crystalline Cs2MnTe2 at its relaxed geometry.

Unit cell a=8.0362 b=15.4552 c=7.2890 alpha=90.00 beta=90.00 gamma=90.00
Space group Ibam (No. 72)
Inequivalent atoms, fractional coordinates:
Cs 0.1734 0.1458 0.0000 (multiplicity 8)
Mn 0.0000 0.5000 0.2500 (multiplicity 4)
Te 0.1781 0.4018 0.0000 (multiplicity 8)

Summary:
**Distance to the lowest polymorph of the same formula**: 0.000 kcal/mol of atoms

Entry 3:
DFT (PBE-GGA) results for crystalline MgSb2O4 at its relaxed geometry.

Unit cell a=6.2885 b=7.0448 c=9.1979 alpha=90.00 beta=90.00 gamma=90.00
Space group Imma (No. 74)
Inequivalent atoms, fractional coordinates:
Mg 0.2500 0.2500 0.2500 (multiplicity 4)
Sb 0.0000 0.0000 0.0000 (multiplicity 4)
Sb 0.0000 0.2500 0.6454 (multiplicity 4)
O 0.0000 0.0470 0.2423 (multiplicity 8)
O 0.2462 0.2500 0.4954 (multiplicity 8)

Summary:
**Magnetic moment**: 0.00 μB per atom
**Distance to the lowest polymorph of the same formula**: 7.115 kcal/mol of atoms

Entry 4:
DFT (PBE-GGA) results for crystalline Mg14VCr at its relaxed geometry.

Unit cell a=6.2959 b=6.2959 c=10.1202 alpha=90.00 beta=90.00 gamma=120.00
Space group P-6m2 (No. 187)
Inequivalent atoms, fractional coordinates:
Mg 0.0000 0.0000 0.2503 (multiplicity 2)
Mg 0.0085 0.5043 0.2505 (multiplicity 6)
Mg 0.3346 0.1673 0.0000 (multiplicity 3)
Mg 0.3355 0.1677 0.5000 (multiplicity 3)
V 0.3333 0.6667 0.5000 (multiplicity 1)
Cr 0.3333 0.6667 0.0000 (multiplicity 1)

Summary:
**Distance to the lowest polymorph of the same formula**: 0.000 kcal/mol of atoms

Values of total energy, in order: -8.790, -4.223, -5.705, -2.421, all in eV per atom.
Values of ΔH_f (0 K), in order: -1.018, -0.944, -1.862, 0.150, all in eV/atom.